No. 1
The following is a r²SCAN calculation of an optimized crystal structure of Be3P2, from Materials Project.

extended XYZ file:
```
40
Lattice="8.324 0.000 -2.943 -4.162 7.209 -2.943 0.000 0.000 8.829" Properties=species:S:1:pos:R:3 pbc="T T T"
P -1.014 5.361 1.434
P -2.107 7.163 -1.434
P 4.162 0.000 -1.471
P 6.269 0.046 4.377
P 0.026 3.650 4.377
P 1.093 5.406 -1.434
P 3.068 1.802 4.377
P 2.081 3.604 1.471
P 4.135 3.558 -1.434
P -2.081 3.604 -1.471
P 3.095 5.452 -4.377
P 7.230 1.802 -1.509
P 5.176 1.848 1.509
P 1.067 1.756 7.320
P 0.000 0.000 4.414
P -3.068 5.406 4.452
Be 4.162 7.142 0.722
Be 5.215 1.758 -0.686
Be 1.066 5.429 0.794
Be 2.113 0.033 -0.686
Be 6.185 3.637 -2.221
Be 0.013 3.538 2.203
Be 3.096 1.780 2.149
Be 0.996 5.417 -3.629
Be 0.000 0.066 2.221
Be 6.236 0.033 2.149
Be -2.024 3.571 5.163
Be -1.009 5.395 -0.794
Be -2.075 7.175 0.794
Be -1.053 5.450 3.629
Be 2.049 7.176 3.629
Be 4.149 3.670 0.740
Be -0.989 1.846 -0.740
Be 3.166 1.791 6.572
Be 2.024 3.571 -0.722
Be 5.170 1.813 3.737
Be 5.151 5.362 3.683
Be 3.185 5.384 -2.203
Be 0.977 1.824 5.145
Be 2.138 3.637 3.665
```

Properties
Formation energy = -0.30 eV/atom

***

No. 2
The following is a r²SCAN calculation of an optimized crystal structure of CsTlS2, from Materials Project.

extended XYZ file:
```
32
Lattice="-4.595 5.043 -4.425 -0.774 4.929 6.422 12.026 10.642 -4.125" Properties=species:S:1:pos:R:3 pbc="T T T"
S -1.388 7.698 -4.885
S 1.001 5.087 -2.593
S 2.037 9.154 -2.909
S 2.343 13.995 -1.443
S 5.655 15.527 0.465
S 4.313 6.619 -0.685
S 8.452 10.365 -0.575
S 8.044 12.917 2.757
S -3.190 8.660 1.980
S 9.484 14.432 -0.901
S 6.062 12.976 -2.870
S 0.595 7.639 0.742
S -2.828 6.183 -1.227
S 9.846 11.954 -4.108
S 4.619 11.461 0.781
S -1.795 10.249 -1.553
Cs 5.580 9.352 -2.619
Cs 7.041 14.148 -6.132
Cs 1.076 11.263 0.491
Cs 0.038 4.017 0.780
Cs 3.410 8.756 2.691
Cs -0.385 6.467 4.004
Cs 6.618 16.598 -2.908
Cs 3.246 11.859 -4.819
Tl 4.752 13.489 -0.754
Tl 7.035 10.991 1.441
Tl 8.405 12.431 -2.052
Tl -1.362 5.742 -3.264
Tl -0.379 9.623 -3.569
Tl -1.749 8.183 -0.076
Tl 8.018 14.873 1.136
Tl 1.904 7.125 -1.375
```

Properties
Formation energy = -0.80 eV/atom

***

No. 3
The following is a r²SCAN calculation of an optimized crystal structure of Ho3Si6Pd20, from Materials Project.

extended XYZ file:
```
29
Lattice="0.000 6.105 6.105 6.105 0.000 6.105 6.105 6.105 0.000" Properties=species:S:1:pos:R:3 pbc="T T T"
Pd 4.681 7.528 4.681
Pd 3.995 0.000 3.995
Pd 2.109 0.000 2.109
Pd 6.105 3.995 10.100
Pd 7.528 7.528 4.681
Pd 6.105 2.109 3.996
Pd 4.681 7.528 7.528
Pd 10.100 6.105 8.214
Pd 4.681 4.681 7.528
Pd 8.214 6.105 10.100
Pd 10.100 3.995 6.105
Pd 2.109 3.995 6.105
Pd 7.528 4.681 7.528
Pd 3.996 2.109 6.105
Pd 7.528 4.681 4.681
Pd 4.681 4.681 4.681
Pd 6.105 3.995 2.109
Pd 8.214 2.109 6.105
Pd 7.528 7.528 7.528
Pd 6.105 2.109 8.214
Ho 9.157 9.157 9.157
Ho 6.105 0.000 6.105
Ho 3.052 3.052 3.052
Si 3.260 6.105 6.105
Si 6.105 6.105 8.949
Si 6.105 8.949 6.105
Si 8.949 6.105 6.105
Si 6.105 3.260 6.105
Si 6.105 6.105 3.260
```

Properties
Formation energy = -0.84 eV/atom

***

No. 4
The following is a r²SCAN calculation of an optimized crystal structure of Al2O3, from Materials Project.

extended XYZ file:
```
40
Lattice="-2.055 4.593 2.423 -3.495 -3.766 -2.188 -0.440 -6.353 11.939" Properties=species:S:1:pos:R:3 pbc="T T T"
Al -1.937 -0.866 4.696
Al -3.561 -3.428 8.185
Al -2.510 -5.762 6.943
Al -3.414 -3.393 11.553
Al -1.850 -1.574 9.251
Al -2.003 -0.137 -0.150
Al -0.546 -0.551 2.156
Al -0.857 -4.753 9.600
Al -3.089 1.357 2.509
Al -4.653 -0.462 4.811
Al -3.590 -1.875 2.039
Al -0.737 -3.124 6.704
Al -4.779 0.276 -0.032
Al -3.901 -6.078 9.484
Al -2.941 1.392 5.876
Al -3.711 -3.504 4.934
O -3.871 -3.674 1.744
O -3.529 -1.029 0.525
O -2.409 -4.106 3.935
O -4.994 -1.238 3.057
O -3.689 -5.142 11.189
O -2.813 3.107 2.873
O -3.363 -2.582 9.903
O -4.790 -2.113 7.819
O -2.633 -7.232 10.049
O -1.814 0.604 1.591
O -1.903 -3.054 12.354
O -0.919 -5.598 11.114
O -3.056 -0.242 8.907
O -3.140 0.547 4.159
O -0.674 -2.248 5.111
O -5.004 -4.564 8.816
O -2.464 -4.942 8.709
O -4.600 1.019 1.709
O -4.072 -6.720 7.707
O -2.039 -2.522 7.703
O -3.446 -1.794 5.154
O -3.774 -4.381 6.527
O -1.983 -1.687 2.930
O -1.713 0.077 6.242
```

Properties
Formation energy = -3.30 eV/atom

***

No. 5
The following is a r²SCAN calculation of an optimized crystal structure of Ni21Sn2B6, from Materials Project.

extended XYZ file:
```
29
Lattice="7.311 -0.567 -1.104 3.124 -6.679 -0.786 2.597 -2.123 -6.613" Properties=species:S:1:pos:R:3 pbc="T T T"
B 6.154 -6.559 -5.684
B 6.878 -2.810 -2.818
B 4.732 -3.518 -5.327
B 8.300 -5.851 -3.176
B 8.060 -3.777 -5.829
B 4.971 -5.593 -2.673
Ni 0.000 0.000 0.000
Ni 8.011 -5.760 -5.226
Ni 2.458 -0.191 -0.371
Ni 1.724 -1.409 -4.389
Ni 5.021 -3.610 -3.276
Ni 2.774 -3.655 -4.654
Ni 10.257 -5.714 -3.849
Ni 1.050 -2.246 -0.264
Ni 8.376 -3.870 -3.782
Ni 4.531 -4.624 -0.893
Ni 6.454 -6.675 -3.636
Ni 6.578 -2.695 -4.866
Ni 11.307 -7.960 -4.113
Ni 6.819 -4.785 -2.192
Ni 4.656 -5.499 -4.720
Ni 8.500 -4.745 -7.610
Ni 6.213 -4.584 -6.310
Ni 11.981 -7.124 -8.238
Ni 8.849 -7.769 -3.742
Ni 10.573 -9.179 -8.131
Ni 4.182 -1.600 -4.760
Sn 3.258 -2.342 -2.126
Sn 9.774 -7.027 -6.377
```

Properties
Formation energy = -0.26 eV/atom

***

No. 6
The following is a r²SCAN calculation of an optimized crystal structure of YbMgIn2, from Materials Project.

extended XYZ file:
```
4
Lattice="0.000 3.621 3.621 3.621 0.000 3.621 3.621 3.621 0.000" Properties=species:S:1:pos:R:3 pbc="T T T"
In 1.811 1.811 1.811
In 5.432 5.432 5.432
Mg 3.621 3.621 3.621
Yb 0.000 0.000 0.000
```

Properties
Formation energy = -0.32 eV/atom

***

No. 7
The following is a r²SCAN calculation of an optimized crystal structure of V5Pb2O12, from Materials Project.

extended XYZ file:
```
38
Lattice="5.150 0.000 0.000 0.000 8.350 -0.009 0.000 1.792 11.721" Properties=species:S:1:pos:R:3 pbc="T T T"
Pb 1.816 7.229 7.939
Pb 3.334 6.333 2.078
Pb 1.816 3.810 9.633
Pb 3.334 2.913 3.773
O 0.158 4.775 11.363
O 0.084 8.925 7.089
O 2.918 1.344 8.791
O 0.036 2.977 7.863
O 0.158 6.264 6.209
O 2.946 4.931 7.424
O 2.232 0.448 2.930
O 2.885 1.442 0.162
O 4.992 5.367 0.349
O 2.265 2.338 6.023
O 5.066 1.218 4.623
O 5.114 7.166 3.848
O 0.036 8.062 9.709
O 5.114 2.081 2.003
O 2.204 4.034 1.564
O 4.992 3.879 5.502
O 4.875 4.623 2.926
O 0.275 5.519 8.786
O 2.265 8.701 11.549
O 2.204 5.212 4.287
O 2.946 6.108 10.148
O 0.084 2.114 10.483
O 5.066 8.028 1.229
O 2.885 7.805 5.689
V 0.643 8.825 11.402
V 4.573 4.745 7.226
V 0.577 3.849 1.365
V 4.507 7.928 5.541
V 4.553 1.344 8.791
V 4.573 6.294 10.346
V 0.597 0.448 2.930
V 0.577 5.398 4.486
V 4.507 1.318 0.310
V 0.643 2.214 6.170
```

Properties
Formation energy = -2.36 eV/atom

***

No. 8
The following is a r²SCAN calculation of an optimized crystal structure of CaBiF6, from Materials Project.

extended XYZ file:
```
8
Lattice="-0.948 3.530 4.896 -5.276 2.679 1.522 -3.479 -1.412 4.820" Properties=species:S:1:pos:R:3 pbc="T T T"
F -6.155 4.246 5.566
F -3.087 3.546 4.791
F -4.284 2.935 7.741
F -5.419 1.862 3.497
F -6.616 1.252 6.446
F -3.547 0.552 5.672
Ca -4.851 2.399 5.619
Bi 0.000 0.000 0.000
```

Properties
Formation energy = -2.89 eV/atom

***

No. 9
The following is a r²SCAN calculation of an optimized crystal structure of MgSbPd2, from Materials Project.

extended XYZ file:
```
4
Lattice="1.748 3.507 2.398 -2.149 1.500 3.774 1.844 -0.742 4.142" Properties=species:S:1:pos:R:3 pbc="T T T"
Pd 0.721 2.133 5.157
Pd 0.000 0.000 0.000
Sb 1.082 3.199 7.736
Mg 0.361 1.066 2.579
```

Properties
Formation energy = -0.59 eV/atom

***

No. 10
The following is a r²SCAN calculation of an optimized crystal structure of LuPaRu2, from Materials Project.

extended XYZ file:
```
4
Lattice="-0.360 1.524 4.513 -2.090 4.190 0.947 -4.264 0.110 2.151" Properties=species:S:1:pos:R:3 pbc="T T T"
Ru -1.678 1.456 1.903
Ru -5.035 4.368 5.708
Lu -3.357 2.912 3.805
Pa 0.000 0.000 0.000
```

Properties
Formation energy = -0.53 eV/atom

***

No. 11
The following is a r²SCAN calculation of an optimized crystal structure of Sr10P6O25, from Materials Project.

extended XYZ file:
```
41
Lattice="1.717 5.679 7.713 -3.223 -9.093 1.274 6.840 -2.391 0.238" Properties=species:S:1:pos:R:3 pbc="T T T"
O 1.097 -1.503 5.807
O 5.493 0.552 6.698
O -0.373 -2.546 0.913
O 3.374 -6.260 7.749
O 7.257 0.900 4.990
O 0.307 -7.654 3.348
O 0.990 -2.661 8.041
O -2.115 -7.319 3.030
O 3.158 3.432 6.961
O 4.361 -6.244 3.627
O 5.065 -0.955 3.875
O 1.501 -3.985 5.910
O 5.818 -3.314 4.015
O 2.558 -9.241 1.232
O 2.083 -6.791 0.932
O 1.803 -7.090 5.970
O 1.938 -0.559 1.903
O 4.430 -2.496 6.640
O 1.740 -3.760 1.291
O 6.139 -1.963 8.356
O 4.912 -2.449 1.822
O 3.373 -2.816 3.776
O -0.775 -3.154 6.369
O 1.989 0.865 3.979
O 1.998 1.200 7.083
Sr -0.330 -6.127 1.391
Sr 3.980 -4.753 5.442
Sr 0.089 -0.031 0.003
Sr 6.778 -1.589 5.800
Sr 2.870 -8.092 3.790
Sr -0.351 -5.752 5.765
Sr 0.920 -2.365 3.278
Sr 2.058 -4.659 9.111
Sr 3.403 -0.410 5.683
Sr 3.992 -5.104 1.571
P 0.717 -2.810 6.526
P 4.648 -2.299 8.151
P 6.091 1.588 5.729
P 4.788 -2.376 3.352
P 2.492 2.405 7.905
P 2.146 0.873 2.448
```

Properties
Formation energy = -3.15 eV/atom

***

No. 12
The following is a r²SCAN calculation of an optimized crystal structure of LaGaS3, from Materials Project.

extended XYZ file:
```
60
Lattice="10.579 0.000 0.000 0.000 10.390 -0.011 0.000 1.968 12.730" Properties=species:S:1:pos:R:3 pbc="T T T"
Ga 7.722 8.477 0.956
Ga 6.160 8.454 4.494
Ga 7.905 3.604 2.147
Ga 9.708 9.438 10.858
Ga 2.857 3.880 11.763
Ga 8.146 9.461 7.320
Ga 2.433 2.897 5.398
Ga 7.964 4.588 8.512
Ga 0.871 2.919 1.860
Ga 4.419 3.903 8.225
Ga 2.615 7.770 4.207
Ga 2.674 8.754 10.572
S 2.361 4.204 7.311
S 8.852 1.065 6.540
S 10.035 9.140 8.611
S 2.928 3.221 0.946
S 6.284 9.148 8.561
S 10.408 11.510 11.347
S 5.460 10.526 4.982
S 8.096 2.592 9.547
S 5.833 8.156 2.246
S 4.295 3.209 4.158
S 7.016 0.082 0.175
S 0.544 3.218 4.108
S 3.562 12.276 12.543
S 2.483 9.765 3.171
S 2.807 10.749 9.536
S 0.797 8.064 11.636
S 9.585 8.164 2.196
S 7.651 9.137 11.773
S 7.772 1.608 3.183
S 3.285 7.243 8.985
S 0.171 0.848 1.372
S 8.575 6.098 10.099
S 1.727 11.292 6.178
S 9.782 4.293 1.082
S 4.492 7.081 5.272
S 9.612 4.523 6.923
S 0.994 4.193 10.522
S 4.323 8.818 12.160
S 8.218 8.153 5.408
S 5.119 1.832 7.736
S 4.746 4.201 10.473
S 6.256 3.540 0.559
S 7.294 5.114 3.734
S 6.086 5.277 7.447
S 0.967 7.834 5.795
S 2.004 6.260 2.620
La 10.015 5.985 4.131
La 5.608 11.429 10.522
La 0.564 6.372 8.588
La 4.971 0.928 2.197
La 10.260 10.446 4.157
La 1.531 8.548 0.720
La 0.319 1.912 8.562
La 6.821 2.826 5.634
La 3.758 9.532 7.085
La 9.048 3.809 11.999
La 5.853 6.969 10.496
La 4.726 5.388 2.223
```

Properties
Formation energy = -1.68 eV/atom

***

No. 13
The following is a r²SCAN calculation of an optimized crystal structure of La2Al3Sn, from Materials Project.

extended XYZ file:
```
6
Lattice="4.489 0.000 0.000 0.000 4.495 0.000 0.000 0.000 7.800" Properties=species:S:1:pos:R:3 pbc="T T T"
Al 2.244 0.000 1.208
Al 2.244 2.247 5.284
Al 2.244 0.000 6.473
La 0.000 2.247 7.782
La 0.000 0.000 3.929
Sn 2.244 2.247 2.625
```

Properties
Formation energy = -0.64 eV/atom